Record 1
Compound: Sr2PrGeO6
Source: Materials Project
Functional: GGA-PBE
Structure: optimized geometry

Calculated values
* calculated formation energy: -2.807 eV/atom
* E above lowest polymorph: 0.0 meV/atom
* spin magnetization: 1.0 μB per formula unit
* crystal system: cubic

Lattice parameters (Å, degrees): 8.385 8.385 8.385 90.00 90.00 90.00
Sites, in units of the cell vectors:
O1 0.025 0.720 0.215
O2 0.285 0.475 0.780
O3 0.280 0.215 0.975
O4 0.285 0.525 0.220
O5 0.780 0.715 0.525
O6 0.720 0.215 0.025
O7 0.220 0.285 0.525
O8 0.475 0.220 0.715
O9 0.715 0.525 0.780
O10 0.780 0.285 0.475
O11 0.525 0.220 0.285
O12 0.215 0.025 0.720
O13 0.715 0.475 0.220
O14 0.785 0.975 0.720
O15 0.025 0.280 0.785
O16 0.220 0.715 0.475
O17 0.475 0.780 0.285
O18 0.785 0.025 0.280
O19 0.215 0.975 0.280
O20 0.720 0.785 0.975
O21 0.280 0.785 0.025
O22 0.525 0.780 0.715
O23 0.975 0.720 0.785
O24 0.975 0.280 0.215
Ge1 0.250 0.250 0.750
Ge2 0.750 0.250 0.250
Ge3 0.750 0.750 0.750
Ge4 0.250 0.750 0.250
Sr1 0.000 0.000 0.500
Sr2 0.500 0.000 0.500
Sr3 0.000 0.000 0.000
Sr4 0.000 0.500 0.500
Sr5 0.500 0.500 0.500
Sr6 0.000 0.500 0.000
Sr7 0.500 0.000 0.000
Sr8 0.500 0.500 0.000
Pr1 0.250 0.750 0.750
Pr2 0.750 0.250 0.750
Pr3 0.250 0.250 0.250
Pr4 0.750 0.750 0.250



Record 2
Compound: Rb4GeO4
Source: Materials Project
Functional: GGA-PBE
Structure: optimized geometry

Calculated values
* calculated formation energy: -1.896 eV/atom
* crystal system: monoclinic

Lattice parameters (Å, degrees): 6.939 11.087 11.129 68.19 90.00 90.00
Sites, in units of the cell vectors:
Rb1 0.816 0.795 0.075
Rb2 0.336 0.890 0.133
Rb3 0.684 0.295 0.075
Rb4 0.889 0.414 0.657
Rb5 0.164 0.390 0.133
Rb6 0.611 0.914 0.657
Rb7 0.111 0.586 0.343
Rb8 0.184 0.205 0.925
Rb9 0.316 0.705 0.925
Rb10 0.908 0.196 0.440
Rb11 0.389 0.086 0.343
Rb12 0.092 0.804 0.560
Rb13 0.836 0.610 0.867
Rb14 0.664 0.110 0.867
Rb15 0.408 0.304 0.560
Rb16 0.592 0.696 0.440
O1 0.996 0.155 0.721
O2 0.023 0.133 0.202
O3 0.504 0.655 0.721
O4 0.239 0.031 0.588
O5 0.496 0.345 0.279
O6 0.977 0.867 0.798
O7 0.477 0.633 0.202
O8 0.739 0.469 0.412
O9 0.004 0.845 0.279
O10 0.523 0.367 0.798
O11 0.261 0.531 0.588
O12 0.761 0.969 0.412
O13 0.678 0.014 0.140
O14 0.178 0.486 0.860
O15 0.322 0.986 0.860
O16 0.822 0.514 0.140
Ge1 0.869 0.991 0.258
Ge2 0.631 0.491 0.258
Ge3 0.131 0.009 0.742
Ge4 0.369 0.509 0.742



Record 3
Compound: Rb2GeS6O21
Source: Materials Project
Functional: GGA-PBE
Structure: optimized geometry

Calculated values
* calculated formation energy: -1.886 eV/atom
* spin magnetization: 0.0 μB per formula unit
* crystal system: trigonal

Lattice parameters (Å, degrees): 9.905 9.905 11.406 90.00 90.00 120.00
Sites, in units of the cell vectors:
S1 0.852 0.196 0.846
S2 0.344 0.148 0.846
S3 0.148 0.804 0.154
S4 0.748 0.082 0.340
S5 0.252 0.918 0.660
S6 0.656 0.852 0.154
S7 0.918 0.666 0.340
S8 0.666 0.748 0.660
S9 0.804 0.656 0.846
S10 0.334 0.252 0.340
S11 0.082 0.334 0.660
S12 0.196 0.344 0.154
O1 0.790 0.243 0.332
O2 0.110 0.939 0.653
O3 0.888 0.063 0.859
O4 0.982 0.660 0.205
O5 0.250 0.409 0.040
O6 0.828 0.890 0.653
O7 0.985 0.352 0.576
O8 0.340 0.322 0.205
O9 0.660 0.678 0.795
O10 0.367 0.015 0.576
O11 0.547 0.790 0.668
O12 0.322 0.982 0.795
O13 0.678 0.018 0.205
O14 0.018 0.340 0.795
O15 0.158 0.750 0.040
O16 0.890 0.061 0.347
O17 0.633 0.985 0.424
O18 0.210 0.757 0.668
O19 0.757 0.547 0.332
O20 0.453 0.210 0.332
O21 0.571 0.732 0.239
O22 0.015 0.648 0.424
O23 0.825 0.888 0.141
O24 0.648 0.633 0.576
O25 0.937 0.825 0.859
O26 0.429 0.268 0.761
O27 0.061 0.172 0.653
O28 0.591 0.842 0.040
O29 0.175 0.112 0.859
O30 0.352 0.367 0.424
O31 0.939 0.828 0.347
O32 0.842 0.250 0.960
O33 0.063 0.175 0.141
O34 0.243 0.453 0.668
O35 0.732 0.161 0.761
O36 0.172 0.110 0.347
O37 0.409 0.158 0.960
O38 0.839 0.571 0.761
O39 0.112 0.937 0.141
O40 0.161 0.429 0.239
O41 0.750 0.591 0.960
O42 0.268 0.839 0.239
Rb1 0.667 0.333 0.122
Rb2 0.667 0.333 0.561
Rb3 0.333 0.667 0.439
Rb4 0.333 0.667 0.878
Ge1 0.000 0.000 0.243
Ge2 0.000 0.000 0.757



Record 4
Compound: Rb14Si6Ge4O17
Source: Materials Project
Functional: GGA-PBE
Structure: optimized geometry

Calculated values
* calculated formation energy: -2.218 eV/atom
* spin magnetization: 0.0 μB per formula unit
* crystal system: monoclinic

Lattice parameters (Å, degrees): 8.014 14.742 33.085 77.78 90.00 90.00
Sites, in units of the cell vectors:
Rb1 0.042 0.449 0.067
Rb2 0.864 0.574 0.715
Rb3 0.486 0.049 0.108
Rb4 0.902 0.921 0.287
Rb5 0.010 0.294 0.758
Rb6 0.490 0.794 0.258
Rb7 0.130 0.124 0.466
Rb8 0.136 0.426 0.285
Rb9 0.948 0.321 0.883
Rb10 0.514 0.951 0.892
Rb11 0.531 0.678 0.629
Rb12 0.510 0.206 0.742
Rb13 0.638 0.799 0.140
Rb14 0.458 0.949 0.567
Rb15 0.948 0.796 0.757
Rb16 0.031 0.822 0.871
Rb17 0.986 0.451 0.392
Rb18 0.098 0.079 0.713
Rb19 0.053 0.947 0.389
Rb20 0.552 0.821 0.383
Rb21 0.099 0.791 0.645
Rb22 0.488 0.492 0.567
Rb23 0.865 0.644 0.471
Rb24 0.447 0.447 0.889
Rb25 0.553 0.553 0.111
Rb26 0.014 0.549 0.608
Rb27 0.636 0.074 0.215
Rb28 0.901 0.209 0.355
Rb29 0.552 0.296 0.257
Rb30 0.958 0.551 0.933
Rb31 0.365 0.856 0.029
Rb32 0.012 0.992 0.067
Rb33 0.990 0.706 0.242
Rb34 0.135 0.356 0.529
Rb35 0.052 0.204 0.243
Rb36 0.969 0.178 0.129
Rb37 0.512 0.508 0.433
Rb38 0.364 0.926 0.785
Rb39 0.401 0.291 0.145
Rb40 0.635 0.144 0.971
Rb41 0.362 0.201 0.860
Rb42 0.052 0.679 0.117
Rb43 0.370 0.624 0.966
Rb44 0.630 0.376 0.034
Rb45 0.469 0.322 0.371
Rb46 0.947 0.053 0.611
Rb47 0.448 0.179 0.617
Rb48 0.448 0.704 0.743
Rb49 0.542 0.051 0.433
Rb50 0.599 0.709 0.855
Rb51 0.862 0.299 0.640
Rb52 0.598 0.421 0.787
Rb53 0.988 0.008 0.933
Rb54 0.138 0.701 0.360
Rb55 0.870 0.876 0.534
Rb56 0.402 0.579 0.213
O1 0.471 0.364 0.658
O2 0.293 0.116 0.182
O3 0.314 0.934 0.180
O4 0.707 0.884 0.818
O5 0.772 0.501 0.867
O6 0.279 0.625 0.289
O7 0.203 0.384 0.607
O8 0.703 0.116 0.893
O9 0.261 0.747 0.815
O10 0.996 0.637 0.840
O11 0.979 0.996 0.801
O12 0.735 0.616 0.791
O13 0.814 0.566 0.320
O14 0.479 0.504 0.699
O15 0.523 0.988 0.304
O16 0.277 0.980 0.251
O17 0.726 0.435 0.187
O18 0.726 0.383 0.113
O19 0.186 0.434 0.680
O20 0.521 0.496 0.301
O21 0.305 0.498 0.363
O22 0.496 0.863 0.660
O23 0.774 0.935 0.687
O24 0.704 0.248 0.821
O25 0.728 0.001 0.367
O26 0.004 0.363 0.160
O27 0.023 0.512 0.196
O28 0.226 0.117 0.387
O29 0.195 0.998 0.863
O30 0.793 0.384 0.318
O31 0.774 0.883 0.613
O32 0.971 0.136 0.842
O33 0.252 0.878 0.328
O34 0.204 0.252 0.679
O35 0.504 0.137 0.340
O36 0.274 0.617 0.887
O37 0.296 0.752 0.179
O38 0.248 0.378 0.828
O39 0.765 0.116 0.291
O40 0.265 0.384 0.209
O41 0.207 0.616 0.682
O42 0.029 0.864 0.158
O43 0.226 0.065 0.313
O44 0.221 0.125 0.789
O45 0.796 0.748 0.321
O46 0.752 0.622 0.172
O47 0.228 0.499 0.133
O48 0.723 0.020 0.749
O49 0.529 0.636 0.342
O50 0.021 0.004 0.199
O51 0.721 0.375 0.711
O52 0.223 0.480 0.751
O53 0.695 0.502 0.637
O54 0.777 0.520 0.249
O55 0.739 0.253 0.185
O56 0.297 0.884 0.107
O57 0.779 0.875 0.211
O58 0.761 0.753 0.685
O59 0.477 0.012 0.696
O60 0.805 0.002 0.137
O61 0.235 0.884 0.709
O62 0.797 0.616 0.393
O63 0.239 0.247 0.315
O64 0.977 0.488 0.804
O65 0.686 0.066 0.820
O66 0.748 0.122 0.672
O67 0.272 0.999 0.633
O68 0.274 0.565 0.813
Ge1 0.788 0.823 0.026
Ge2 0.233 0.353 0.979
Ge3 0.267 0.853 0.479
Ge4 0.976 0.253 0.008
Ge5 0.767 0.647 0.021
Ge6 0.524 0.753 0.508
Ge7 0.212 0.177 0.974
Ge8 0.264 0.226 0.045
Ge9 0.476 0.247 0.492
Ge10 0.236 0.726 0.545
Ge11 0.733 0.147 0.521
Ge12 0.736 0.774 0.955
Ge13 0.712 0.323 0.526
Ge14 0.024 0.747 0.992
Ge15 0.764 0.274 0.455
Ge16 0.288 0.677 0.474
Si1 0.272 0.513 0.702
Si2 0.358 0.939 0.674
Si3 0.896 0.935 0.176
Si4 0.818 0.526 0.199
Si5 0.182 0.474 0.801
Si6 0.707 0.855 0.660
Si7 0.207 0.645 0.840
Si8 0.262 0.353 0.654
Si9 0.762 0.147 0.846
Si10 0.293 0.145 0.340
Si11 0.858 0.561 0.826
Si12 0.318 0.974 0.301
Si13 0.142 0.439 0.174
Si14 0.682 0.026 0.699
Si15 0.228 0.013 0.202
Si16 0.793 0.355 0.160
Si17 0.104 0.065 0.824
Si18 0.238 0.853 0.154
Si19 0.772 0.987 0.798
Si20 0.642 0.061 0.326
Si21 0.728 0.487 0.298
Si22 0.604 0.435 0.676
Si23 0.738 0.647 0.346
Si24 0.396 0.565 0.324



Record 5
Compound: Rb12Sn8GeO4
Source: Materials Project
Functional: GGA-PBE
Structure: optimized geometry

Calculated values
* calculated formation energy: -0.856 eV/atom
* spin magnetization: 0.0 μB per formula unit
* crystal system: monoclinic

Lattice parameters (Å, degrees): 23.968 13.243 13.485 61.01 90.00 90.00
Sites, in units of the cell vectors:
Sn1 0.569 0.062 0.229
Sn2 0.368 0.465 0.379
Sn3 0.268 0.513 0.475
Sn4 0.953 0.801 0.186
Sn5 0.931 0.562 0.229
Sn6 0.547 0.301 0.186
Sn7 0.453 0.699 0.814
Sn8 0.132 0.900 0.619
Sn9 0.875 0.852 0.549
Sn10 0.431 0.938 0.771
Sn11 0.368 0.400 0.619
Sn12 0.544 0.873 0.727
Sn13 0.768 0.987 0.525
Sn14 0.632 0.600 0.381
Sn15 0.069 0.438 0.771
Sn16 0.625 0.352 0.549
Sn17 0.496 0.221 0.033
Sn18 0.375 0.648 0.451
Sn19 0.125 0.148 0.451
Sn20 0.004 0.721 0.033
Sn21 0.044 0.627 0.273
Sn22 0.132 0.965 0.379
Sn23 0.868 0.035 0.621
Sn24 0.732 0.487 0.525
Sn25 0.996 0.279 0.967
Sn26 0.456 0.127 0.273
Sn27 0.504 0.779 0.967
Sn28 0.047 0.199 0.814
Sn29 0.956 0.373 0.727
Sn30 0.232 0.013 0.475
Sn31 0.632 0.535 0.621
Sn32 0.868 0.100 0.381
Rb1 0.255 0.341 0.271
Rb2 0.605 0.557 0.907
Rb3 0.160 0.227 0.096
Rb4 0.395 0.443 0.093
Rb5 0.494 0.454 0.720
Rb6 0.527 0.787 0.496
Rb7 0.245 0.841 0.271
Rb8 0.994 0.046 0.280
Rb9 0.882 0.380 0.121
Rb10 0.225 0.289 0.839
Rb11 0.122 0.399 0.525
Rb12 0.473 0.213 0.504
Rb13 0.006 0.954 0.720
Rb14 0.838 0.987 0.190
Rb15 0.310 0.134 0.143
Rb16 0.973 0.287 0.496
Rb17 0.706 0.838 0.377
Rb18 0.432 0.907 0.169
Rb19 0.878 0.601 0.475
Rb20 0.294 0.162 0.623
Rb21 0.382 0.120 0.879
Rb22 0.206 0.662 0.623
Rb23 0.810 0.366 0.857
Rb24 0.118 0.620 0.879
Rb25 0.840 0.773 0.904
Rb26 0.378 0.899 0.525
Rb27 0.275 0.789 0.839
Rb28 0.506 0.546 0.280
Rb29 0.755 0.159 0.729
Rb30 0.340 0.727 0.096
Rb31 0.568 0.093 0.831
Rb32 0.775 0.711 0.161
Rb33 0.618 0.880 0.121
Rb34 0.745 0.659 0.729
Rb35 0.190 0.634 0.143
Rb36 0.895 0.057 0.907
Rb37 0.725 0.211 0.161
Rb38 0.662 0.487 0.190
Rb39 0.622 0.101 0.475
Rb40 0.794 0.338 0.377
Rb41 0.162 0.013 0.810
Rb42 0.932 0.593 0.831
Rb43 0.660 0.273 0.904
Rb44 0.690 0.866 0.857
Rb45 0.027 0.713 0.504
Rb46 0.338 0.513 0.810
Rb47 0.068 0.407 0.169
Rb48 0.105 0.943 0.093
Ge1 0.742 0.009 0.004
Ge2 0.258 0.991 0.996
Ge3 0.758 0.509 0.004
Ge4 0.242 0.491 0.996
O1 0.233 0.581 0.845
O2 0.223 0.858 0.024
O3 0.715 0.433 0.952
O4 0.723 0.642 0.976
O5 0.733 0.919 0.155
O6 0.215 0.067 0.048
O7 0.267 0.081 0.845
O8 0.676 0.041 0.929
O9 0.176 0.459 0.071
O10 0.285 0.567 0.048
O11 0.824 0.541 0.929
O12 0.777 0.142 0.976
O13 0.277 0.358 0.024
O14 0.324 0.959 0.071
O15 0.785 0.933 0.952
O16 0.767 0.419 0.155